No. 1
A relaxed structure of UVSe3. Source: the Materials Project database, functional PBE.

The structure belongs to space group Pnma (No. 62); the cell edges are 7.3473, 9.4826 and 6.3723 Å and the angles 90.00°, 90.00° and 90.00°. Symmetry generates all atoms from U at (0.1210, 0.2500, 0.0655), V at (0.0000, 0.0000, 0.5000), Se at (0.0406, 0.7500, 0.3503) and Se at (0.1806, 0.5610, 0.8425).

The formation energy comes out at -604 kJ/mol of formula units. For the raw total energy, the calculation gives -142.822 eV per cell.

***

No. 2
A relaxed structure of U8VSe17. Source: the Materials Project database, functional PBE.

The structure belongs to space group C2/m (No. 12); the cell edges are 13.8321, 8.7571 and 10.8196 Å and the angles 90.00°, 101.08° and 90.00°. Symmetry generates all atoms from U at (0.0605, 0.2411, 0.2020), U at (0.1812, 0.5000, 0.5157), U at (0.2031, 0.0000, 0.9584), V at (0.0000, 0.0000, 0.5000), Se at (0.0000, 0.0000, 0.0000), Se at (0.0214, 0.5000, 0.6686), Se at (0.0598, 0.0000, 0.7285), Se at (0.1267, 0.3076, 0.9634), Se at (0.1333, 0.1905, 0.4726), Se at (0.1994, 0.5000, 0.2551) and Se at (0.2140, 0.0000, 0.2235).

The formation energy comes out at -3617 kJ/mol of formula units. For the raw total energy, the calculation gives -376.624 eV per cell.